1.
DFT (r²SCAN) results for an optimized crystal structure of DyNiGe2.

Cell lengths 4.109, 4.083, 8.570 Å; angles 103.78, 90.00, 90.00 degrees
Fractional coordinates of all 8 atoms:
Dy1 0.750 0.108 0.217
Dy2 0.250 0.892 0.783
Ni1 0.750 0.321 0.643
Ni2 0.250 0.679 0.357
Ge1 0.750 0.458 0.916
Ge2 0.250 0.542 0.084
Ge3 0.750 0.749 0.498
Ge4 0.250 0.251 0.502

Summary:
- total magnetization (μB per atom) = 0.000
- calculated volume (Å³/cell) = 139.6
- E_form (meV per atom) = -748
- uncorrected energy (eV/atom) = -18.6753



2.
DFT (r²SCAN) results for an optimized crystal structure of DyNiGe2.

Cell lengths 4.157, 8.446, 9.203 Å; angles 117.32, 103.04, 90.00 degrees
Fractional coordinates of all 16 atoms:
Dy1 0.795 0.295 0.591
Dy2 0.000 0.739 0.000
Dy3 0.000 0.261 0.000
Dy4 0.205 0.705 0.409
Ni1 0.352 0.602 0.703
Ni2 0.648 0.899 0.297
Ni3 0.648 0.398 0.297
Ni4 0.352 0.101 0.703
Ge1 0.805 0.963 0.609
Ge2 0.421 0.921 0.841
Ge3 0.195 0.037 0.391
Ge4 0.195 0.354 0.391
Ge5 0.805 0.646 0.609
Ge6 0.577 0.577 0.154
Ge7 0.579 0.079 0.159
Ge8 0.423 0.423 0.846

Summary:
- total magnetization (μB per atom) = 0.000
- calculated volume (Å³/cell) = 277.7
- E_form (meV per atom) = -738
- uncorrected energy (eV/atom) = -18.6644



3.
DFT (r²SCAN) results for an optimized crystal structure of Dy2GeO5.

Cell lengths 8.184, 8.184, 10.429 Å; angles 61.28, 61.28, 49.22 degrees
Fractional coordinates of all 32 atoms:
Dy1 0.723 0.207 0.964
Dy2 0.793 0.277 0.536
Dy3 0.277 0.793 0.036
Dy4 0.207 0.723 0.464
Dy5 0.993 0.733 0.837
Dy6 0.267 0.007 0.663
Dy7 0.007 0.267 0.163
Dy8 0.733 0.993 0.337
Ge1 0.780 0.590 0.691
Ge2 0.410 0.220 0.809
Ge3 0.220 0.410 0.309
Ge4 0.590 0.780 0.191
O1 0.777 0.632 0.052
O2 0.368 0.223 0.448
O3 0.223 0.368 0.948
O4 0.632 0.777 0.552
O5 0.581 0.586 0.365
O6 0.414 0.419 0.135
O7 0.419 0.414 0.635
O8 0.586 0.581 0.865
O9 0.959 0.649 0.675
O10 0.351 0.041 0.825
O11 0.041 0.351 0.325
O12 0.649 0.959 0.175
O13 0.884 0.081 0.398
O14 0.919 0.116 0.102
O15 0.116 0.919 0.602
O16 0.081 0.884 0.898
O17 0.085 0.683 0.322
O18 0.317 0.915 0.178
O19 0.915 0.317 0.678
O20 0.683 0.085 0.822

Summary:
- total magnetization (μB per atom) = 0.000
- calculated volume (Å³/cell) = 449.0
- E_form (meV per atom) = -3215
- uncorrected energy (eV/atom) = -16.6772



4.
DFT (r²SCAN) results for an optimized crystal structure of DyGe2Pd.

Cell lengths 4.310, 8.702, 9.511 Å; angles 117.22, 103.01, 90.00 degrees
Fractional coordinates of all 16 atoms:
Dy1 0.201 0.201 0.402
Dy2 0.799 0.799 0.598
Dy3 0.000 0.761 0.000
Dy4 0.000 0.239 0.000
Ge1 0.574 0.074 0.148
Ge2 0.426 0.926 0.852
Ge3 0.198 0.848 0.396
Ge4 0.802 0.152 0.604
Ge5 0.198 0.548 0.396
Ge6 0.802 0.452 0.604
Ge7 0.426 0.427 0.853
Ge8 0.574 0.573 0.147
Pd1 0.352 0.104 0.704
Pd2 0.648 0.896 0.296
Pd3 0.352 0.601 0.704
Pd4 0.648 0.399 0.296

Summary:
- total magnetization (μB per atom) = 0.000
- calculated volume (Å³/cell) = 306.9
- E_form (meV per atom) = -800
- uncorrected energy (eV/atom) = -21.4711